# 1
Gd2Ru2O7: relaxed, PBE.

a = 7.2843 Å, b = 7.2843 Å, c = 7.2843 Å
α = 60.00°, β = 60.00°, γ = 60.00°
Fractional positions:
Gd  0.0000  0.0000  0.0000
Gd  0.0000  0.0000  0.5000
Gd  0.0000  0.5000  0.0000
Gd  0.5000  0.0000  0.0000
Ru  0.0000  0.5000  0.5000
Ru  0.5000  0.0000  0.5000
Ru  0.5000  0.5000  0.0000
Ru  0.5000  0.5000  0.5000
O  0.1250  0.1250  0.1250
O  0.1676  0.1676  0.5824
O  0.1676  0.5824  0.1676
O  0.1676  0.5824  0.5824
O  0.4176  0.4176  0.8324
O  0.4176  0.8324  0.4176
O  0.4176  0.8324  0.8324
O  0.5824  0.1676  0.1676
O  0.5824  0.1676  0.5824
O  0.5824  0.5824  0.1676
O  0.8324  0.4176  0.4176
O  0.8324  0.4176  0.8324
O  0.8324  0.8324  0.4176
O  0.8750  0.8750  0.8750

SG: Fd-3m

---

# 2
Cu2SnSe3: relaxed, PBE.

a = 7.0547 Å, b = 7.0547 Å, c = 7.0956 Å
α = 99.69°, β = 99.69°, γ = 119.98°
Fractional positions:
Cu  0.0822  0.9178  0.5000
Cu  0.2325  0.7385  0.0001
Cu  0.7385  0.2325  0.5001
Cu  0.9178  0.0822  0.0000
Sn  0.3863  0.5684  0.4831
Sn  0.5684  0.3863  0.9831
Se  0.0025  0.1708  0.3621
Se  0.1708  0.0025  0.8621
Se  0.3602  0.8837  0.3619
Se  0.5357  0.7233  0.8852
Se  0.7233  0.5357  0.3852
Se  0.8837  0.3602  0.8619

SG: Cc

---

# 3
MnSbPt: relaxed, PBE.

a = 4.4072 Å, b = 4.4072 Å, c = 4.4072 Å
α = 60.00°, β = 60.00°, γ = 60.00°
Fractional positions:
Mn  0.0000  0.0000  0.0000
Sb  0.5000  0.5000  0.5000
Pt  0.7500  0.7500  0.7500

SG: F-43m
polymorph energy (0 for the lowest one): 0 meV/atom

---

# 4
Na6Ca3ZrP4S2O24: relaxed, PBE.

a = 9.3316 Å, b = 9.3384 Å, c = 23.3176 Å
α = 89.88°, β = 89.99°, γ = 60.07°
Fractional positions:
Na  0.0000  0.0000  0.0000
Na  0.0083  0.6152  0.5053
Na  0.2489  0.0002  0.5026
Na  0.2715  0.3426  0.0050
Na  0.2934  0.6531  0.0901
Na  0.3025  0.6386  0.5929
Na  0.3042  0.9967  0.8332
Na  0.3131  0.9594  0.1689
Na  0.6078  0.3301  0.1687
Na  0.6226  0.6129  0.0024
Na  0.6325  0.9696  0.2513
Na  0.6373  0.3403  0.5028
Na  0.6452  0.9571  0.7528
Na  0.6570  0.2958  0.8371
Na  0.9324  0.0193  0.3290
Na  0.9578  0.3202  0.9158
Na  0.9745  0.3234  0.4107
Na  0.9785  0.9498  0.6720
Ca  0.2928  0.6484  0.2328
Ca  0.2976  0.6480  0.4324
Ca  0.2992  0.6518  0.7322
Ca  0.3004  0.6595  0.9279
Ca  0.6221  0.9925  0.3985
Ca  0.6387  0.9804  0.8977
Ca  0.9635  0.3327  0.2598
Ca  0.9635  0.3224  0.0723
Ca  0.9648  0.3226  0.5704
Zr  0.6248  0.9963  0.6058
Zr  0.6292  0.9883  0.1011
Zr  0.9590  0.3291  0.7598
P  0.2643  0.0241  0.6644
P  0.2748  0.3153  0.1612
P  0.3339  0.9882  0.9985
P  0.3369  0.2800  0.5012
P  0.6060  0.6462  0.8321
P  0.6296  0.2840  0.9988
P  0.6550  0.6304  0.1620
P  0.6647  0.3174  0.6632
P  0.9233  0.9867  0.5001
P  0.9576  0.6275  0.6616
P  0.9592  0.0168  0.1649
P  0.9918  0.9699  0.8291
S  0.2896  0.3510  0.8327
S  0.2921  0.9578  0.3324
S  0.6080  0.3471  0.3327
S  0.6290  0.6972  0.5011
S  0.9274  0.6912  0.0007
S  0.9923  0.6550  0.3353
O  0.0760  0.8648  0.7766
O  0.0817  0.6417  0.3902
O  0.0840  0.6695  0.2865
O  0.0921  0.6797  0.9988
O  0.0936  0.8968  0.8852
O  0.0969  0.8274  0.5015
O  0.1013  0.6595  0.6703
O  0.1155  0.8466  0.1708
O  0.1350  0.1210  0.3309
O  0.1406  0.3292  0.8247
O  0.1586  0.3092  0.5054
O  0.1597  0.1441  0.0035
O  0.1673  0.0996  0.6089
O  0.1697  0.1415  0.7170
O  0.1820  0.3392  0.1043
O  0.1943  0.2781  0.2115
O  0.2658  0.4417  0.8874
O  0.2772  0.8558  0.6720
O  0.2814  0.8725  0.3855
O  0.3025  0.8615  0.2808
O  0.3115  0.4378  0.7845
O  0.3145  0.4555  0.1688
O  0.3201  0.8287  0.0006
O  0.3339  0.4483  0.5015
O  0.4141  0.0035  0.9433
O  0.4152  0.1759  0.4483
O  0.4376  0.1823  0.8355
O  0.4388  0.9786  0.3338
O  0.4395  0.0094  0.6612
O  0.4474  0.9759  0.0510
O  0.4485  0.1793  0.5546
O  0.4530  0.1507  0.1563
O  0.4654  0.4526  0.0004
O  0.4756  0.6844  0.4992
O  0.4782  0.6555  0.1686
O  0.4865  0.6684  0.7842
O  0.4922  0.4579  0.6718
O  0.5124  0.4336  0.2813
O  0.5241  0.4388  0.3860
O  0.5492  0.6044  0.8896
O  0.6133  0.8014  0.5521
O  0.6189  0.8042  0.8351
O  0.6227  0.1802  0.0516
O  0.6284  0.1775  0.3329
O  0.6311  0.8105  0.1559
O  0.6489  0.1866  0.9438
O  0.6502  0.7714  0.4489
O  0.6694  0.1440  0.6623
O  0.7267  0.5318  0.1060
O  0.7398  0.3338  0.6069
O  0.7640  0.5492  0.2138
O  0.7753  0.5278  0.5058
O  0.7775  0.3262  0.3319
O  0.7822  0.3083  0.0035
O  0.7818  0.4871  0.8201
O  0.7868  0.2938  0.7150
O  0.7932  0.8017  0.6614
O  0.7995  0.0004  0.1560
O  0.8108  0.0081  0.8328
O  0.8226  0.9739  0.5534
O  0.8267  0.0033  0.4452
O  0.8285  0.8113  0.3355
O  0.8311  0.7667  0.9483
O  0.8375  0.7952  0.0513
O  0.9207  0.1271  0.2184
O  0.9425  0.1424  0.5044
O  0.9417  0.5239  0.7125
O  0.9480  0.5230  0.0055
O  0.9721  0.5083  0.3315
O  0.9756  0.5396  0.6047
O  0.9830  0.0982  0.1107
O  0.9832  0.1461  0.8223

SG: P1

---

# 5
Ce2TeSe: relaxed, PBE.

a = 4.3385 Å, b = 4.3385 Å, c = 6.1336 Å
α = 90.00°, β = 90.00°, γ = 90.00°
Fractional positions:
Ce  0.0000  0.0000  0.0000
Ce  0.5000  0.5000  0.5000
Te  0.0000  0.0000  0.5000
Se  0.5000  0.5000  0.0000

SG: P4/mmm

---

# 6
LiCd2Cu: relaxed, PBE.

a = 4.5791 Å, b = 4.5791 Å, c = 4.5791 Å
α = 60.00°, β = 60.00°, γ = 60.00°
Fractional positions:
Li  0.0000  0.0000  0.0000
Cd  0.2500  0.2500  0.2500
Cd  0.7500  0.7500  0.7500
Cu  0.5000  0.5000  0.5000

SG: Fm-3m

---

# 7
CaPBrO8: relaxed, PBE.

a = 10.3944 Å, b = 10.3944 Å, c = 7.0641 Å
α = 100.44°, β = 100.44°, γ = 34.47°
Fractional positions:
Ca  0.1594  0.8406  0.7500
Ca  0.8406  0.1594  0.2500
P  0.3523  0.6477  0.2500
P  0.6477  0.3523  0.7500
Br  0.0000  0.5000  0.5000
Br  0.5000  0.0000  0.0000
O  0.0013  0.6627  0.8038
O  0.1111  0.5524  0.9483
O  0.1962  0.8035  0.4226
O  0.1965  0.8038  0.0774
O  0.3373  0.9987  0.6962
O  0.4333  0.4398  0.7188
O  0.4398  0.4333  0.2188
O  0.4476  0.8889  0.5517
O  0.5524  0.1111  0.4483
O  0.5602  0.5667  0.7812
O  0.5667  0.5602  0.2812
O  0.6627  0.0013  0.3038
O  0.8035  0.1962  0.9226
O  0.8038  0.1965  0.5774
O  0.8889  0.4476  0.0517
O  0.9987  0.3373  0.1962

SG: C2/c
polymorph energy (0 for the lowest one): 0 meV/atom

---

# 8
MnAlIr: relaxed, PBE.

a = 4.1818 Å, b = 4.1818 Å, c = 4.1818 Å
α = 60.00°, β = 60.00°, γ = 60.00°
Fractional positions:
Mn  0.0000  0.0000  0.0000
Al  0.5000  0.5000  0.5000
Ir  0.2500  0.2500  0.2500

SG: F-43m

---

So what do the calculations give for calculated total energy? Going down the list: -104.57 -24.37 -20.45 -265.86 -24.65 -8.41 -61.29 -22.37 eV per formula unit.
So what do the calculations give for calculated formation energy? Going down the list: -2.55 -0.52 -0.36 -2.78 -1.65 -0.14 -1.27 -0.21 eV/atom.